The following is a GGA-PBE calculation of a relaxed MgSi2 crystal, from Materials Project.

a b c (Å): 3.7110 6.1943 10.2583
angles (deg): 100.21 92.50 96.63
With the nearest neighbours (Å) after each atom.
Atoms (fractional coordinates):
Mg (0.0000, 0.0000, 0.0000)  6 Si 2.73-2.99
Mg (0.1705, 0.6981, 0.4973)  6 Si 2.77-2.96
Mg (0.6183, 0.6784, 0.1835)  6 Si 2.74-3.00
Mg (0.7985, 0.0821, 0.7014)  5 Si 2.70-2.92
Si (0.0462, 0.5546, 0.9736)  3 Si 2.40-2.56
Si (0.1230, 0.3781, 0.2687)  3 Si 2.38-2.55
Si (0.2718, 0.2336, 0.4803)  4 Si 2.38-2.55
Si (0.3473, 0.4392, 0.7025)  4 Si 2.38-2.58
Si (0.4967, 0.3038, 0.9205)  3 Si 2.40-2.58
Si (0.5739, 0.1365, 0.2066)  3 Si 2.38-2.57
Si (0.7155, 0.9907, 0.4206)  3 Si 2.38-2.57
Si (0.8997, 0.6820, 0.7553)  3 Si 2.38-2.56

Calculated values
Theoretical density ... 2.3 Mg/m³
ΔE to the lowest computed polymorph ... 98 meV/atom
Crystal system ... triclinic
Total energy ... -4.0221 eV per atom


The following is a GGA-PBE calculation of a relaxed Na2LiTa crystal, from Materials Project.

a b c (Å): 5.0640 5.0640 5.0640
angles (deg): 60.00 60.00 60.00
With the nearest neighbours (Å) after each atom.
Atoms (fractional coordinates):
Na (0.0000, 0.0000, 0.0000)  4 Ta 3.10, 4 Na 3.10
Na (0.2500, 0.2500, 0.2500)  4 Li 3.10, 4 Na 3.10
Li (0.5000, 0.5000, 0.5000)  4 Ta 3.10, 4 Na 3.10
Ta (0.7500, 0.7500, 0.7500)  4 Na 3.10, 4 Li 3.10

Calculated values
Theoretical density ... 4.2 Mg/m³
Crystal system ... cubic
Total energy ... -2.8698 eV per atom


The following is a GGA-PBE calculation of a relaxed TiAu crystal, from Materials Project.

a b c (Å): 3.3417 3.3417 6.1650
angles (deg): 90.00 90.00 90.00
With the nearest neighbours (Å) after each atom.
Atoms (fractional coordinates):
Ti (0.2500, 0.2500, 0.1333)  5 Au 2.74-3.03, 4 Ti 2.88
Ti (0.7500, 0.7500, 0.8667)  5 Au 2.74-3.03, 4 Ti 2.88
Au (0.2500, 0.2500, 0.6410)  5 Ti 2.74-3.03, 4 Au 2.93
Au (0.7500, 0.7500, 0.3590)  5 Ti 2.74-3.03, 4 Au 2.93

Calculated values
Theoretical density ... 11.8 Mg/m³
Crystal system ... tetragonal
Total energy ... -6.0129 eV per atom


no.,DFT formation energy (eV per atom)
1,0.1755
2,1.2332
3,-0.4282